(1)
The following is a r²SCAN calculation of a geometry-optimized TbAgPb structure, from the Materials Project.

Lattice parameters (Å, degrees): 4.7777 4.7777 7.5245 90.00 90.00 120.00
Last column: nearest neighbours and their distance in Å.
Space group P6_3mc (No. 186)
Inequivalent atoms, fractional coordinates:
Tb 0.0000 0.0000 0.0000 x2  3 Ag 3.08, 3 Pb 3.21
Ag 0.3333 0.6667 0.3171 x2  4 Pb 2.86-3.02, 3 Tb 3.08
Pb 0.3333 0.6667 0.7188 x2  4 Ag 2.86-3.02

formation enthalpy at 0 K = -0.532 eV/atom
spin magnetization = 0.000 μB per atom



(2)
The following is a r²SCAN calculation of a geometry-optimized NdFeSi2 structure, from the Materials Project.

Lattice parameters (Å, degrees): 4.0926 16.8398 4.0057 90.00 90.00 90.00
Last column: nearest neighbours and their distance in Å.
Space group Cmcm (No. 63)
Inequivalent atoms, fractional coordinates:
Nd 0.0000 0.1081 0.2500 x4  11 Si 3.10-3.40, 4 Fe 3.13-3.14
Fe 0.0000 0.2507 0.7500 x4  4 Si 2.24-2.29
Si 0.0000 0.3100 0.2500 x4  4 Fe 2.24-2.29
Si 0.0000 0.4621 0.2500 x4  3 Si 2.37-2.56

formation enthalpy at 0 K = -0.557 eV/atom
spin magnetization = 0.001 μB per atom



(3)
The following is a r²SCAN calculation of a geometry-optimized PmNd3 structure, from the Materials Project.

Lattice parameters (Å, degrees): 7.5060 7.5060 5.8754 90.00 90.00 120.00
Last column: nearest neighbours and their distance in Å.
Space group P6_3/mmc (No. 194)
Inequivalent atoms, fractional coordinates:
Pm 0.3333 0.6667 0.2500 x2  12 Nd 3.65-3.75
Nd 0.1667 0.3334 0.7500 x6  4 Pm 3.65-3.75, 8 Nd 3.65-3.75

formation enthalpy at 0 K = 0.028 eV/atom
spin magnetization = 0.000 μB per atom
relative energy among the computed polymorphs = 8.7 meV/atom



(4)
The following is a r²SCAN calculation of a geometry-optimized CaCd2Pd structure, from the Materials Project.

Lattice parameters (Å, degrees): 8.0322 8.0723 5.5535 90.00 90.00 90.00
Last column: nearest neighbours and their distance in Å.
Space group Pnma (No. 62)
Inequivalent atoms, fractional coordinates:
Ca 0.0348 0.2500 0.1010 x4  3 Pd 2.95-3.14
Cd 0.1728 0.0551 0.5952 x8  3 Pd 2.77-2.83
Pd 0.1200 0.7500 0.3808 x4  6 Cd 2.77-2.83, 2 Ca 2.95-3.03

formation enthalpy at 0 K = -0.517 eV/atom
spin magnetization = 0.000 μB per atom



(5)
The following is a r²SCAN calculation of a geometry-optimized KBrF4 structure, from the Materials Project.

Lattice parameters (Å, degrees): 6.1395 6.1395 11.0555 90.00 90.00 90.00
Last column: nearest neighbours and their distance in Å.
Space group I4/mcm (No. 140)
Inequivalent atoms, fractional coordinates:
K 0.0000 0.0000 0.2500 x4  8 F 2.71
Br 0.0000 0.5000 0.0000 x4  4 F 1.92
F 0.1560 0.3440 0.1227 x16  1 Br 1.92

formation enthalpy at 0 K = -1.726 eV/atom
spin magnetization = 0.000 μB per atom



(6)
The following is a r²SCAN calculation of a geometry-optimized Cu3AsS4 structure, from the Materials Project.

Lattice parameters (Å, degrees): 5.2592 5.2592 5.2592 90.00 90.00 90.00
Last column: nearest neighbours and their distance in Å.
Space group P-43m (No. 215)
Inequivalent atoms, fractional coordinates:
Cu 0.0000 0.0000 0.5000 x3  4 S 2.27
As 0.5000 0.5000 0.5000 x1  4 S 2.30
S 0.2473 0.2473 0.7527 x4  3 Cu 2.27, 1 As 2.30

formation enthalpy at 0 K = -0.260 eV/atom
spin magnetization = 0.000 μB per atom



(7)
The following is a r²SCAN calculation of a geometry-optimized Zr2Fe structure, from the Materials Project.

Lattice parameters (Å, degrees): 6.2221 6.2221 5.7492 90.00 90.00 90.00
Last column: nearest neighbours and their distance in Å.
Space group I4/mcm (No. 140)
Inequivalent atoms, fractional coordinates:
Zr 0.1808 0.3192 0.0000 x8  4 Fe 2.70
Fe 0.0000 0.0000 0.2500 x4  8 Zr 2.70, 2 Fe 2.87

formation enthalpy at 0 K = 0.041 eV/atom
spin magnetization = 0.000 μB per atom



(8)
The following is a r²SCAN calculation of a geometry-optimized Cs4GeO4 structure, from the Materials Project.

Lattice parameters (Å, degrees): 11.6884 7.0872 11.3355 90.00 111.96 90.00
Last column: nearest neighbours and their distance in Å.
Space group P2_1/c (No. 14)
Inequivalent atoms, fractional coordinates:
Cs 0.0706 0.0851 0.2109 x4  3 O 2.90-3.18
Cs 0.1498 0.6254 0.0758 x4  4 O 2.91-3.03
Cs 0.3748 0.6710 0.8954 x4  4 O 2.86-3.08
Cs 0.4128 0.1719 0.7834 x4  5 O 2.99-3.23
Ge 0.2381 0.1229 0.9874 x4  4 O 1.78-1.79
O 0.0959 0.2224 0.9807 x4  1 Ge 1.78
O 0.2096 0.5112 0.3455 x4  1 Ge 1.79
O 0.3065 0.5221 0.6257 x4  1 Ge 1.79
O 0.3411 0.1861 0.4947 x4  1 Ge 1.79

formation enthalpy at 0 K = -1.751 eV/atom
spin magnetization = 0.000 μB per atom
relative energy among the computed polymorphs = 0.0 meV/atom



Question: The highest spin magnetization belongs to which entry?
Answer: NdFeSi2



Repeat the eighth record exactly.
The following is a r²SCAN calculation of a geometry-optimized Cs4GeO4 structure, from the Materials Project.

Lattice parameters (Å, degrees): 11.6884 7.0872 11.3355 90.00 111.96 90.00
Last column: nearest neighbours and their distance in Å.
Space group P2_1/c (No. 14)
Inequivalent atoms, fractional coordinates:
Cs 0.0706 0.0851 0.2109 x4  3 O 2.90-3.18
Cs 0.1498 0.6254 0.0758 x4  4 O 2.91-3.03
Cs 0.3748 0.6710 0.8954 x4  4 O 2.86-3.08
Cs 0.4128 0.1719 0.7834 x4  5 O 2.99-3.23
Ge 0.2381 0.1229 0.9874 x4  4 O 1.78-1.79
O 0.0959 0.2224 0.9807 x4  1 Ge 1.78
O 0.2096 0.5112 0.3455 x4  1 Ge 1.79
O 0.3065 0.5221 0.6257 x4  1 Ge 1.79
O 0.3411 0.1861 0.4947 x4  1 Ge 1.79

formation enthalpy at 0 K = -1.751 eV/atom
spin magnetization = 0.000 μB per atom
relative energy among the computed polymorphs = 0.0 meV/atom



Question: Which value of spin magnetization does entry 4 give?
Answer: 0.000 μB per atom